No. 1
This record from the Materials Project describes a relaxed La4Er11S22 crystal. The functional is PBE.

Unit cell a=19.7278 b=19.7278 c=11.3687 alpha=88.61 beta=88.61 gamma=11.54
Closest atoms and distances in Å follow each position.
Atoms (fractional coordinates):
La 0.1040 0.1040 0.9878  8 S 2.94-3.07
La 0.8960 0.8960 0.0122  8 S 2.94-3.07
La 0.3671 0.3671 0.6527  7 S 2.92-3.02
La 0.6329 0.6329 0.3473  7 S 2.92-3.02
Er 0.7979 0.7979 0.9419  7 S 2.69-2.88
Er 0.2021 0.2021 0.0581  7 S 2.69-2.88
Er 0.4620 0.4620 0.7288  6 S 2.64-2.77
Er 0.5380 0.5380 0.2712  6 S 2.64-2.77
Er 0.6576 0.6576 0.6984  6 S 2.65-2.79
Er 0.3424 0.3424 0.3016  6 S 2.65-2.79
Er 0.2639 0.2639 0.6480  6 S 2.66-2.76
Er 0.7361 0.7361 0.3520  6 S 2.66-2.76
Er 0.0693 0.0693 0.6396  6 S 2.65-2.77
Er 0.9307 0.9307 0.3604  6 S 2.65-2.77
Er 0.0000 0.0000 0.0000  6 S 2.72-2.73
S 0.0869 0.0869 0.2482  2 Er 2.77, 3 La 2.92-3.02
S 0.9131 0.9131 0.7518  2 Er 2.77, 3 La 2.92-3.02
S 0.1892 0.1892 0.3079  3 Er 2.76-2.87, 2 La 3.00
S 0.8108 0.8108 0.6921  3 Er 2.76-2.87, 2 La 3.00
S 0.2800 0.2800 0.4100  4 Er 2.71-2.76
S 0.7200 0.7200 0.5900  4 Er 2.71-2.76
S 0.4458 0.4458 0.5045  3 Er 2.64-2.65
S 0.5542 0.5542 0.4955  3 Er 2.64-2.65
S 0.1344 0.1344 0.5477  3 Er 2.73-2.79, 2 La 3.02
S 0.8656 0.8656 0.4523  3 Er 2.73-2.79, 2 La 3.02
S 0.5929 0.5929 0.7866  3 Er 2.71-2.77
S 0.4071 0.4071 0.2134  3 Er 2.71-2.77
S 0.4536 0.4536 0.9683  3 Er 2.72-2.73, 2 La 3.04
S 0.5464 0.5464 0.0317  3 Er 2.72-2.73, 2 La 3.04
S 0.3503 0.3503 0.9088  2 Er 2.88, 3 La 2.94-2.97
S 0.6497 0.6497 0.0912  2 Er 2.88, 3 La 2.94-2.97
S 0.1686 0.1686 0.8478  3 Er 2.65-2.76, 1 La 2.96
S 0.8314 0.8314 0.1522  3 Er 2.65-2.76, 1 La 2.96
S 0.0077 0.0077 0.7611  4 Er 2.71-2.76
S 0.9923 0.9923 0.2389  4 Er 2.71-2.76
S 0.2553 0.2553 0.8810  4 Er 2.66-2.86
S 0.7447 0.7447 0.1190  4 Er 2.66-2.86

Values from the calculation:
The total energy is -6.449 eV per atom. The formation energy is -2.397 eV per atom. Its space group is C2/m (12).

=====

No. 2
This record from the Materials Project describes a relaxed La10Er9S27 crystal. The functional is PBE.

Unit cell a=15.0055 b=15.0055 c=21.8142 alpha=58.23 beta=58.23 gamma=15.10
Closest atoms and distances in Å follow each position.
Atoms (fractional coordinates):
La 0.8737 0.8737 0.7093  7 S 2.87-3.04
La 0.9586 0.9586 0.1932  7 S 2.93-3.11
La 0.8849 0.8849 0.8920  8 S 2.86-3.15
La 0.0414 0.0414 0.8068  7 S 2.93-3.11
La 0.1263 0.1263 0.2907  7 S 2.87-3.04
La 0.1822 0.1822 0.6031  7 S 2.88-3.01
La 0.2006 0.2006 0.7796  8 S 2.97-3.17
La 0.1151 0.1151 0.1080  8 S 2.86-3.15
La 0.7994 0.7994 0.2204  8 S 2.97-3.17
La 0.8178 0.8178 0.3969  7 S 2.88-3.01
Er 0.8215 0.8215 0.5763  6 S 2.70-2.78
Er 0.1785 0.1785 0.4237  6 S 2.70-2.78
Er 0.4273 0.4273 0.0289  6 S 2.65-2.76
Er 0.0019 0.0019 0.5001  6 S 2.73-2.76
Er 0.2489 0.2489 0.9126  7 S 2.71-2.86
Er 0.7511 0.7511 0.0874  7 S 2.71-2.86
Er 0.5727 0.5727 0.9711  6 S 2.65-2.76
Er 0.4748 0.4748 0.3595  6 S 2.66-2.76
Er 0.5252 0.5252 0.6405  6 S 2.66-2.77
S 0.3235 0.3235 0.6595  2 Er 2.70, 2 La 3.00
S 0.6765 0.6765 0.3405  2 Er 2.70, 2 La 3.00
S 0.7004 0.7004 0.0148  3 Er 2.71-2.74, 2 La 3.00
S 0.3949 0.3949 0.1680  1 Er 2.65
S 0.5490 0.5490 0.3985  3 Er 2.73-2.75, 2 La 2.99
S 0.5429 0.5429 0.1144  1 Er 2.76, 4 La 2.86-2.93
S 0.7550 0.7550 0.8200  2 Er 2.76, 3 La 2.97-3.04
S 0.4571 0.4571 0.8856  1 Er 2.76, 4 La 2.86-2.93
S 0.1416 0.1416 0.9475  3 Er 2.69-2.86
S 0.2450 0.2450 0.1800  2 Er 2.76, 3 La 2.97-3.04
S 0.4066 0.4066 0.3144  1 Er 2.69, 4 La 2.99-3.01
S 0.8584 0.8584 0.0525  3 Er 2.69-2.86
S 0.9262 0.9262 0.4634  4 Er 2.76
S 0.4510 0.4510 0.6015  3 Er 2.74-2.75, 2 La 2.99
S 0.2859 0.2859 0.3311  1 Er 2.73, 4 La 2.88-2.98
S 0.6051 0.6051 0.8320  1 Er 2.65
S 0.7141 0.7141 0.6689  1 Er 2.73, 4 La 2.88-2.98
S 0.2996 0.2996 0.9852  3 Er 2.71-2.74, 2 La 3.00
S 0.7018 0.7018 0.4926  2 Er 2.78, 3 La 2.92-2.93
S 0.0773 0.0773 0.5372  4 Er 2.70-2.77
S 0.2982 0.2982 0.5074  2 Er 2.78, 3 La 2.92-2.93
S 0.9750 0.9750 0.7347  2 Er 2.66
S 0.3570 0.3570 0.8150  1 Er 2.76, 4 La 2.87-2.98
S 0.5934 0.5934 0.6856  1 Er 2.69, 4 La 2.99-3.01
S 0.0000 0.0000 0.0000  4 Er 2.74
S 0.0250 0.0250 0.2653  2 Er 2.66
S 0.6430 0.6430 0.1850  1 Er 2.76, 4 La 2.87-2.98

Values from the calculation:
The total energy is -6.566 eV per atom. The formation energy is -2.466 eV per atom. Its space group is Cm (8). The energy above the most stable polymorph in this dataset comes out at 0.002 eV/atom.

=====

No. 3
This record from the Materials Project describes a relaxed LaErS3 crystal. The functional is PBE.

Unit cell a=4.0131 b=11.0835 c=21.6554 alpha=78.51 beta=90.00 gamma=90.00
Closest atoms and distances in Å follow each position.
Atoms (fractional coordinates):
La 0.2500 0.3027 0.7648  7 S 2.92-3.05
La 0.7500 0.6973 0.2352  7 S 2.92-3.05
La 0.2500 0.9079 0.8634  7 S 2.87-3.09
La 0.7500 0.0921 0.1366  7 S 2.87-3.09
La 0.2500 0.6921 0.7309  8 S 2.91-3.01
La 0.7500 0.3079 0.2691  8 S 2.91-3.01
La 0.2500 0.8002 0.5341  8 S 2.92-3.18
La 0.7500 0.1998 0.4659  8 S 2.92-3.18
Er 0.2500 0.5515 0.4170  6 S 2.62-2.79
Er 0.7500 0.4485 0.5830  6 S 2.62-2.79
Er 0.2500 0.9714 0.3509  6 S 2.64-2.81
Er 0.7500 0.0286 0.6491  6 S 2.64-2.81
Er 0.2500 0.8215 0.0473  7 S 2.71-3.00
Er 0.7500 0.1785 0.9527  7 S 2.71-3.00
Er 0.2500 0.4768 0.0884  7 S 2.72-2.97
Er 0.7500 0.5232 0.9116  7 S 2.72-2.97
S 0.2500 0.0857 0.0360  3 Er 2.76-2.89, 2 La 2.97
S 0.7500 0.9143 0.9640  3 Er 2.76-2.89, 2 La 2.97
S 0.2500 0.2043 0.3676  1 Er 2.68, 4 La 2.92-2.99
S 0.7500 0.7957 0.6324  1 Er 2.68, 4 La 2.92-2.99
S 0.2500 0.7460 0.3252  2 Er 2.62-2.67, 2 La 2.92
S 0.7500 0.2540 0.6748  2 Er 2.62-2.67, 2 La 2.92
S 0.2500 0.6358 0.9638  4 Er 2.72-3.00
S 0.7500 0.3642 0.0362  4 Er 2.72-3.00
S 0.2500 0.5059 0.2219  1 Er 2.97, 4 La 2.98-3.00, 1 S 3.18
S 0.7500 0.4941 0.7781  1 Er 2.97, 4 La 2.98-3.00, 1 S 3.18
S 0.2500 0.2515 0.1752  1 Er 2.81, 4 La 2.91-3.01
S 0.7500 0.7485 0.8248  1 Er 2.81, 4 La 2.91-3.01
S 0.2500 0.8760 0.1641  1 Er 2.71, 2 La 3.02
S 0.7500 0.1240 0.8359  1 Er 2.71, 2 La 3.02
S 0.2500 0.3567 0.5153  3 Er 2.71-2.79, 2 La 2.99
S 0.7500 0.6433 0.4847  3 Er 2.71-2.79, 2 La 2.99
S 0.2500 0.0571 0.5566  2 Er 2.81, 3 La 2.98-3.02
S 0.7500 0.9429 0.4434  2 Er 2.81, 3 La 2.98-3.02
S 0.2500 0.9630 0.7280  2 Er 2.64, 1 La 2.87
S 0.7500 0.0370 0.2720  2 Er 2.64, 1 La 2.87
S 0.2500 0.5463 0.6331  2 Er 2.62, 1 La 2.91
S 0.7500 0.4537 0.3669  2 Er 2.62, 1 La 2.91
S 0.2500 0.3415 0.9005  4 Er 2.78-2.89, 1 La 3.05
S 0.7500 0.6585 0.0995  4 Er 2.78-2.89, 1 La 3.05

Values from the calculation:
The total energy is -6.526 eV per atom. The formation energy is -2.445 eV per atom. Its space group is P2_1/m (11). The energy above the most stable polymorph in this dataset comes out at 0.003 eV/atom.

=====

No. 4
This record from the Materials Project describes a relaxed LaErS3 crystal. The functional is PBE.

Unit cell a=4.0074 b=16.5338 c=21.4615 alpha=90.00 beta=90.00 gamma=90.00
Closest atoms and distances in Å follow each position.
Atoms (fractional coordinates):
La 0.7500 0.1700 0.4126  8 S 2.88-3.07
La 0.7500 0.3400 0.2544  7 S 2.90-3.09
La 0.2500 0.6600 0.7456  7 S 2.90-3.09
La 0.2500 0.8300 0.5874  8 S 2.88-3.07
La 0.7500 0.3057 0.5785  8 S 2.89-3.10
La 0.7500 0.8400 0.2456  7 S 2.90-3.09
La 0.2500 0.6943 0.4215  8 S 2.89-3.10
La 0.2500 0.3300 0.9126  8 S 2.88-3.07
La 0.7500 0.6700 0.0874  8 S 2.88-3.07
La 0.7500 0.8057 0.9215  8 S 2.89-3.10
La 0.2500 0.1600 0.7544  7 S 2.90-3.09
La 0.2500 0.1943 0.0785  8 S 2.89-3.10
Er 0.2500 0.0948 0.2499  6 S 2.66-2.80
Er 0.7500 0.5568 0.5692  6 S 2.62-2.79
Er 0.2500 0.5660 0.9205  7 S 2.72-2.85
Er 0.2500 0.0660 0.5795  7 S 2.72-2.85
Er 0.2500 0.5948 0.2501  6 S 2.66-2.80
Er 0.2500 0.9432 0.0692  6 S 2.62-2.79
Er 0.7500 0.0568 0.9308  6 S 2.62-2.79
Er 0.7500 0.9052 0.7501  6 S 2.66-2.80
Er 0.2500 0.4432 0.4308  6 S 2.62-2.79
Er 0.7500 0.9340 0.4205  7 S 2.72-2.85
Er 0.7500 0.4340 0.0795  7 S 2.72-2.85
Er 0.7500 0.4052 0.7499  6 S 2.66-2.80
S 0.2500 0.1589 0.9368  2 Er 2.62, 1 La 2.88
S 0.2500 0.7089 0.9831  1 Er 2.72, 2 La 2.89
S 0.2500 0.2089 0.5169  1 Er 2.72, 2 La 2.89
S 0.2500 0.9404 0.9418  3 Er 2.73-2.79, 2 La 3.03
S 0.7500 0.1460 0.6485  2 Er 2.82, 3 La 3.04
S 0.7500 0.5524 0.6937  2 Er 2.67-2.72, 2 La 2.90
S 0.7500 0.5596 0.4418  3 Er 2.73-2.79, 2 La 3.03
S 0.2500 0.8232 0.8157  2 Er 2.80, 3 La 3.04-3.09
S 0.7500 0.0369 0.3180  3 Er 2.66-2.78
S 0.7500 0.9569 0.5523  3 Er 2.76-2.85, 2 La 3.00
S 0.7500 0.6768 0.3157  2 Er 2.80, 3 La 3.04-3.09
S 0.7500 0.0524 0.8063  2 Er 2.67-2.72, 2 La 2.90
S 0.2500 0.4631 0.8180  3 Er 2.66-2.78
S 0.7500 0.7700 0.6785  1 Er 2.71, 2 La 2.97
S 0.7500 0.1768 0.1843  2 Er 2.80, 3 La 3.04-3.09
S 0.2500 0.9631 0.6820  3 Er 2.66-2.78
S 0.7500 0.2700 0.8215  1 Er 2.71, 2 La 2.97
S 0.2500 0.2300 0.3215  1 Er 2.71, 2 La 2.97
S 0.7500 0.8411 0.0632  2 Er 2.62, 1 La 2.88
S 0.2500 0.5431 0.0523  3 Er 2.76-2.85, 2 La 3.00
S 0.7500 0.6460 0.8515  2 Er 2.82, 3 La 3.04
S 0.7500 0.4569 0.9477  3 Er 2.76-2.85, 2 La 3.00
S 0.2500 0.7300 0.1785  1 Er 2.71, 2 La 2.97
S 0.2500 0.9476 0.1937  2 Er 2.67-2.72, 2 La 2.90
S 0.2500 0.4404 0.5582  3 Er 2.73-2.79, 2 La 3.03
S 0.7500 0.5369 0.1820  3 Er 2.66-2.78
S 0.2500 0.3232 0.6843  2 Er 2.80, 3 La 3.04-3.09
S 0.7500 0.2911 0.0169  1 Er 2.72, 2 La 2.89
S 0.2500 0.0431 0.4477  3 Er 2.76-2.85, 2 La 3.00
S 0.2500 0.6589 0.5632  2 Er 2.62, 1 La 2.88
S 0.7500 0.3411 0.4368  2 Er 2.62, 1 La 2.88
S 0.7500 0.7911 0.4831  1 Er 2.72, 2 La 2.89
S 0.2500 0.4476 0.3063  2 Er 2.67-2.72, 2 La 2.90
S 0.7500 0.0596 0.0582  3 Er 2.73-2.79, 2 La 3.03
S 0.2500 0.8540 0.3515  2 Er 2.82, 3 La 3.04
S 0.2500 0.3540 0.1485  2 Er 2.82, 3 La 3.04

Values from the calculation:
The total energy is -6.529 eV per atom. The formation energy is -2.449 eV per atom. Its space group is Pnma (62). The energy above the most stable polymorph in this dataset comes out at 0.000 eV/atom.